[1]
10
Lattice="6.605 1.871 4.084 -0.571 2.725 7.487 2.351 -4.580 6.108" Properties=species:S:1:pos:R:3 comment="Cs2RbAsCl6 PBE optimized geometry" magnetic_moment_mub_per_cell=0.001 formation_energy_ev_per_atom=-1.84 pbc="T T T"
Cl 5.213 2.551 10.354
Cs 2.096 0.004 4.420
Cl 2.855 -1.025 11.475
Cs 6.289 0.012 13.259
Rb 4.193 0.008 8.839
Cl 6.833 -1.498 9.589
Cl 1.552 1.514 8.090
Cl 3.172 -2.535 7.325
Cl 5.530 1.041 6.203
As 0.000 0.000 0.000

[2]
34
Lattice="4.100 0.644 -4.592 -4.749 -3.935 -0.526 -10.246 13.340 -7.276" Properties=species:S:1:pos:R:3 comment="Ba5Ru2ClO9 PBE optimized geometry" magnetic_moment_mub_per_cell=10.002 formation_energy_ev_per_atom=-2.41 pbc="T T T"
Ru 0.810 2.129 -5.129
O -6.403 1.536 -5.765
O -7.525 10.277 -11.242
O -8.888 4.713 -7.212
O -9.635 7.529 -7.276
Ru -11.737 7.757 -7.156
Ba -5.788 0.121 -3.001
O -10.749 4.318 -5.070
Ba -3.931 2.894 -5.019
O 0.220 5.645 -7.315
O -6.060 3.274 -3.062
O -7.182 12.015 -8.539
Ba -7.037 6.976 -7.250
O 2.739 1.976 -5.276
Cl -10.907 11.447 -9.633
Ba -1.784 0.373 -3.671
Ru -10.086 5.812 -6.115
O -13.696 7.765 -6.913
Ba -2.611 6.836 -7.721
Cl -5.030 5.167 -6.342
O 0.768 1.723 -3.211
Ba -8.882 9.653 -8.737
Ba -3.538 -2.965 -1.303
Ba -8.092 3.165 -4.666
O -7.299 7.804 -9.752
O -8.595 6.199 -4.901
O 0.475 0.237 -5.522
O -6.944 9.606 -6.949
Ru -0.617 4.190 -6.273
O -1.272 2.536 -5.126
Ba -5.033 9.832 -9.340
O -3.826 0.281 -5.356
O -3.471 2.082 -2.553
Ba -7.386 12.851 -10.983